{
  "formula": "Ba2Co2F11",
  "functional": "GGA+U",
  "state": "optimized geometry",
  "lattice": [[3.819, -6.614, 0.000], [3.819, 6.614, 0.000], [0.000, 0.000, 14.140]],
  "species": ["Co", "F", "F", "F", "F", "F", "F", "F", "F", "F", "Ba", "F", "Ba", "F", "F", "F", "F", "F", "F", "Co", "F", "F", "F", "F", "F", "F", "Co", "F", "F", "Co", "Ba", "F", "F", "Ba", "Co", "F", "F", "Ba", "F", "Ba", "F", "F", "F", "Co", "F"],
  "fractional_positions": [[0.025, 0.668, 0.550], [0.908, 0.837, 0.583], [0.113, 0.499, 0.490], [0.948, 0.601, 0.179], [0.501, 0.613, 0.156], [0.399, 0.346, 0.845], [0.940, 0.266, 0.674], [0.013, 0.116, 0.404], [0.387, 0.887, 0.823], [0.942, 0.577, 0.684], [0.527, 0.672, 0.493], [0.843, 0.669, 0.849], [0.328, 0.855, 0.160], [0.163, 0.071, 0.249], [0.423, 0.365, 0.350], [0.331, 0.174, 0.516], [0.635, 0.058, 0.017], [0.987, 0.410, 0.013], [0.285, 0.801, 0.601], [0.921, 0.147, 0.060], [0.755, 0.476, 0.515], [0.884, 0.897, 0.071], [0.929, 0.092, 0.916], [0.213, 0.284, 0.088], [0.423, 0.013, 0.347], [0.524, 0.279, 0.182], [0.225, 0.079, 0.394], [0.826, 0.157, 0.182], [0.590, 0.577, 0.680], [0.853, 0.775, 0.727], [0.820, 0.357, 0.337], [0.326, 0.060, 0.007], [0.516, 0.715, 0.934], [0.537, 0.180, 0.670], [0.332, 0.357, 0.216], [0.103, 0.987, 0.738], [0.721, 0.245, 0.848], [0.643, 0.463, 0.004], [0.654, 0.052, 0.512], [0.145, 0.473, 0.827], [0.199, 0.484, 0.267], [0.716, 0.929, 0.755], [0.734, 0.674, 0.341], [0.643, 0.975, 0.883], [0.071, 0.787, 0.421]],
  "ef_ev_per_fu": -41.98,
  "energy_corrected_mp2020_ev_per_atom": -5.41,
  "space_group": "P3_2 (145)",
  "crystal_system": "trigonal",
  "energy_ev_per_fu": -72.74
}

=====

{
  "formula": "Li3FeO3",
  "functional": "GGA+U",
  "state": "optimized geometry",
  "lattice": [[-9.467, 5.824, -1.902], [-1.829, -1.371, 4.909], [1.065, 3.234, 4.602]],
  "species": ["Fe", "O", "Li", "Li", "Fe", "O", "Li", "O", "Li", "O", "Li", "Li", "Li", "Fe", "Li", "O", "Li", "Fe", "O", "Li", "Li", "O", "Li", "O", "O", "O", "O", "O"],
  "fractional_positions": [[0.640, 0.069, 0.765], [0.749, 0.975, 0.062], [0.240, 0.454, 0.711], [0.994, 0.494, 0.735], [0.860, 0.069, 0.265], [0.989, 0.822, 0.345], [0.006, 0.506, 0.265], [0.869, 0.479, 0.049], [0.260, 0.454, 0.211], [0.251, 0.025, 0.938], [0.740, 0.546, 0.789], [0.876, 0.919, 0.839], [0.494, 0.506, 0.765], [0.140, 0.931, 0.735], [0.376, 0.081, 0.661], [0.631, 0.479, 0.549], [0.760, 0.546, 0.289], [0.360, 0.931, 0.235], [0.751, 0.975, 0.562], [0.506, 0.494, 0.235], [0.124, 0.081, 0.161], [0.489, 0.178, 0.155], [0.624, 0.919, 0.339], [0.249, 0.025, 0.438], [0.011, 0.178, 0.655], [0.369, 0.521, 0.451], [0.511, 0.822, 0.845], [0.131, 0.521, 0.951]],
  "ef_ev_per_fu": -13.62,
  "energy_corrected_mp2020_ev_per_atom": -6.09,
  "space_group": "P2_1/c (14)",
  "relative_energy_ev_per_atom": 0.023,
  "crystal_system": "monoclinic",
  "energy_ev_per_fu": -38.34
}

=====

{
  "formula": "ZnCuMo2O7",
  "functional": "GGA+U",
  "state": "optimized geometry",
  "lattice": [[-3.583, 3.909, -6.755], [2.924, -8.081, -6.227], [-8.933, -5.862, 1.345]],
  "species": ["Mo", "Cu", "Zn", "O", "O", "O", "O", "Zn", "O", "O", "Cu", "O", "O", "O", "O", "O", "O", "Mo", "O", "Zn", "O", "Cu", "Zn", "O", "O", "O", "Cu", "Cu", "O", "Zn", "Mo", "O", "Mo", "Mo", "O", "O", "Mo", "Mo", "O", "O", "O", "Mo", "O", "O", "O", "O", "O", "O", "O", "Mo", "Zn", "O", "O", "O", "O", "Mo", "O", "O", "O", "Mo", "O", "O", "O", "Mo", "O", "Cu"],
  "fractional_positions": [[0.767, 0.825, 0.787], [0.563, 0.500, 0.750], [0.432, 0.126, 0.929], [0.421, 0.430, 0.886], [0.592, 0.803, 0.701], [0.260, 0.799, 0.457], [0.584, 0.069, 0.067], [0.432, 0.874, 0.571], [0.911, 0.516, 0.115], [0.680, 0.323, 0.073], [0.069, 0.810, 0.592], [0.592, 0.197, 0.799], [0.741, 0.469, 0.630], [0.408, 0.197, 0.299], [0.579, 0.430, 0.386], [0.243, 0.136, 0.807], [0.821, 0.000, 0.750], [0.233, 0.175, 0.213], [0.919, 0.726, 0.724], [0.568, 0.126, 0.429], [0.320, 0.323, 0.573], [0.437, 0.500, 0.250], [0.076, 0.500, 0.250], [0.081, 0.726, 0.224], [0.416, 0.069, 0.567], [0.919, 0.274, 0.776], [0.931, 0.810, 0.092], [0.069, 0.190, 0.908], [0.071, 0.862, 0.957], [0.568, 0.874, 0.071], [0.245, 0.848, 0.869], [0.579, 0.570, 0.114], [0.755, 0.152, 0.131], [0.245, 0.152, 0.631], [0.081, 0.274, 0.276], [0.416, 0.931, 0.933], [0.270, 0.492, 0.541], [0.270, 0.508, 0.959], [0.757, 0.864, 0.193], [0.408, 0.803, 0.201], [0.179, 0.000, 0.250], [0.730, 0.492, 0.041], [0.071, 0.138, 0.543], [0.929, 0.138, 0.043], [0.911, 0.484, 0.385], [0.260, 0.201, 0.043], [0.259, 0.531, 0.370], [0.741, 0.531, 0.870], [0.740, 0.201, 0.543], [0.767, 0.175, 0.713], [0.924, 0.500, 0.750], [0.089, 0.484, 0.885], [0.320, 0.677, 0.927], [0.584, 0.931, 0.433], [0.089, 0.516, 0.615], [0.755, 0.848, 0.369], [0.929, 0.862, 0.457], [0.259, 0.469, 0.130], [0.421, 0.570, 0.614], [0.730, 0.508, 0.459], [0.740, 0.799, 0.957], [0.757, 0.136, 0.307], [0.243, 0.864, 0.693], [0.233, 0.825, 0.287], [0.680, 0.677, 0.427], [0.931, 0.190, 0.408]],
  "ef_ev_per_fu": -18.06,
  "energy_corrected_mp2020_ev_per_atom": -7.25,
  "space_group": "P2/c (13)",
  "crystal_system": "monoclinic",
  "energy_ev_per_fu": -68.54
}

=====

{
  "formula": "Na4UMo4O16",
  "functional": "GGA+U",
  "state": "optimized geometry",
  "lattice": [[-3.194, 4.466, 8.476], [-1.407, 6.640, -7.478], [-5.133, -8.522, -1.736]],
  "species": ["O", "Na", "Mo", "Mo", "O", "Mo", "O", "O", "U", "O", "U", "O", "Mo", "O", "Mo", "O", "O", "O", "O", "Na", "O", "O", "O", "O", "O", "Na", "O", "O", "O", "O", "Na", "O", "O", "O", "O", "O", "O", "O", "Na", "O", "Na", "Na", "O", "O", "Mo", "Mo", "Na", "Mo", "O", "O"],
  "fractional_positions": [[0.392, 0.272, 0.465], [0.835, 0.496, 0.893], [0.335, 0.065, 0.910], [0.815, 0.405, 0.230], [0.216, 0.328, 0.196], [0.575, 0.665, 0.730], [0.398, 0.987, 0.760], [0.672, 0.868, 0.889], [0.500, 0.500, 0.000], [0.737, 0.477, 0.089], [0.250, 0.750, 0.500], [0.771, 0.466, 0.389], [0.935, 0.845, 0.270], [0.294, 0.967, 0.448], [0.155, 0.425, 0.090], [0.362, 0.602, 0.589], [0.518, 0.846, 0.552], [0.022, 0.058, 0.380], [0.352, 0.263, 0.740], [0.246, 0.854, 0.161], [0.013, 0.773, 0.411], [0.388, 0.648, 0.911], [0.227, 0.638, 0.240], [0.072, 0.608, 0.880], [0.942, 0.322, 0.965], [0.146, 0.307, 0.393], [0.078, 0.382, 0.611], [0.618, 0.229, 0.696], [0.358, 0.978, 0.035], [0.728, 0.192, 0.120], [0.057, 0.165, 0.661], [0.456, 0.283, 0.052], [0.979, 0.784, 0.111], [0.808, 0.928, 0.535], [0.596, 0.544, 0.827], [0.534, 0.922, 0.304], [0.033, 0.482, 0.327], [0.232, 0.404, 0.948], [0.504, 0.396, 0.339], [0.678, 0.642, 0.620], [0.915, 0.754, 0.607], [0.604, 0.943, 0.107], [0.717, 0.768, 0.173], [0.523, 0.612, 0.260], [0.415, 0.185, 0.590], [0.595, 0.825, 0.410], [0.693, 0.085, 0.839], [0.175, 0.585, 0.770], [0.132, 0.021, 0.804], [0.154, 0.706, 0.673]],
  "ef_ev_per_fu": -57.54,
  "energy_corrected_mp2020_ev_per_atom": -7.87,
  "space_group": "I4_1/a (88)",
  "crystal_system": "tetragonal",
  "energy_ev_per_fu": -172.87
}

=====

{
  "formula": "Mg21FeSi12H3O48",
  "functional": "GGA+U",
  "state": "optimized geometry",
  "lattice": [[5.765, 0.000, 0.000], [2.811, 7.228, 0.000], [0.487, 0.716, 21.778]],
  "species": ["O", "O", "Si", "Si", "Mg", "O", "O", "Si", "Mg", "O", "Mg", "O", "O", "O", "Mg", "O", "H", "H", "Mg", "O", "O", "O", "Mg", "Mg", "Mg", "O", "O", "H", "Si", "O", "O", "Mg", "Mg", "O", "Mg", "Si", "O", "O", "O", "O", "Si", "Si", "Fe", "O", "Mg", "Si", "O", "O", "Si", "Mg", "O", "Mg", "O", "O", "O", "O", "O", "Si", "O", "Si", "O", "O", "O", "Mg", "O", "Mg", "O", "O", "Mg", "O", "O", "O", "O", "Mg", "O", "O", "Si", "Mg", "Mg", "Mg", "O", "O", "O", "O", "O"],
  "fractional_positions": [[0.399, 0.643, 0.321], [0.230, 0.058, 0.749], [0.019, 0.427, 0.066], [0.776, 0.944, 0.854], [0.483, 0.505, 0.995], [0.591, 0.315, 0.907], [0.121, 0.336, 0.452], [0.968, 0.567, 0.467], [0.163, 0.825, 0.266], [0.638, 0.260, 0.660], [0.328, 0.825, 0.914], [0.317, 0.401, 0.805], [0.167, 0.676, 0.193], [0.285, 0.004, 0.510], [0.982, 0.505, 0.213], [0.724, 0.025, 0.011], [0.592, 0.992, 0.452], [0.319, 0.620, 0.823], [0.162, 0.579, 0.604], [0.022, 0.029, 0.356], [0.490, 0.008, 0.883], [0.887, 0.711, 0.851], [0.650, 0.921, 0.200], [0.635, 0.190, 0.084], [0.724, 0.115, 0.578], [0.616, 0.738, 0.726], [0.452, 0.022, 0.122], [0.645, 0.337, 0.193], [0.136, 0.241, 0.529], [0.960, 0.023, 0.128], [0.298, 0.369, 0.274], [0.884, 0.225, 0.723], [0.499, 0.507, 0.500], [0.064, 0.355, 0.916], [0.170, 0.195, 0.836], [0.290, 0.905, 0.583], [0.236, 0.045, 0.226], [0.630, 0.677, 0.189], [0.025, 0.449, 0.676], [0.707, 0.094, 0.793], [0.599, 0.313, 0.831], [0.169, 0.100, 0.151], [0.163, 0.183, 0.303], [0.020, 0.870, 0.603], [0.361, 0.792, 0.398], [0.332, 0.825, 0.753], [0.551, 0.379, 0.155], [0.823, 0.344, 0.035], [0.524, 0.426, 0.306], [0.887, 0.196, 0.430], [0.363, 0.317, 0.553], [0.969, 0.567, 0.763], [0.823, 0.374, 0.800], [0.516, 0.953, 0.619], [0.440, 0.663, 0.578], [0.908, 0.650, 0.070], [0.691, 0.624, 0.437], [0.429, 0.614, 0.153], [0.926, 0.552, 0.544], [0.715, 0.034, 0.350], [0.991, 0.007, 0.884], [0.393, 0.674, 0.080], [0.181, 0.656, 0.452], [0.324, 0.213, 0.660], [0.747, 0.983, 0.430], [0.572, 0.838, 0.039], [0.154, 0.655, 0.953], [0.801, 0.366, 0.269], [0.744, 0.470, 0.619], [0.247, 0.979, 0.993], [0.606, 0.277, 0.365], [0.303, 0.344, 0.035], [0.085, 0.163, 0.602], [0.056, 0.845, 0.044], [0.669, 0.658, 0.954], [0.813, 0.268, 0.515], [0.948, 0.584, 0.921], [0.799, 0.865, 0.677], [0.404, 0.164, 0.961], [0.912, 0.164, 0.961], [0.797, 0.938, 0.279], [0.063, 0.332, 0.140], [0.363, 0.734, 0.825], [0.109, 0.765, 0.726], [0.436, 0.011, 0.351]],
  "ef_ev_per_fu": -246.18,
  "energy_corrected_mp2020_ev_per_atom": -7.07,
  "space_group": "P1 (1)",
  "relative_energy_ev_per_atom": 0.000,
  "crystal_system": "triclinic",
  "energy_ev_per_fu": -565.81
}

=====

{
  "formula": "Cr2P4H3O16",
  "functional": "GGA+U",
  "state": "optimized geometry",
  "lattice": [[-1.277, 4.467, -1.639], [-5.468, -1.526, 4.728], [4.253, 3.309, 5.899]],
  "species": ["P", "O", "O", "O", "O", "O", "H", "P", "Cr", "O", "O", "P", "P", "O", "H", "O", "O", "O", "O", "O", "H", "Cr", "O", "O", "O"],
  "fractional_positions": [[0.105, 0.242, 0.667], [0.665, 0.341, 0.078], [0.961, 0.698, 0.158], [0.163, 0.842, 0.431], [0.743, 0.580, 0.429], [0.254, 0.423, 0.575], [0.928, 0.966, 0.980], [0.609, 0.750, 0.839], [0.501, 0.998, 0.501], [0.436, 0.193, 0.341], [0.038, 0.301, 0.843], [0.897, 0.757, 0.333], [0.390, 0.247, 0.158], [0.201, 0.394, 0.167], [0.352, 0.392, 0.474], [0.733, 0.932, 0.936], [0.559, 0.798, 0.655], [0.802, 0.609, 0.833], [0.248, 0.075, 0.059], [0.701, 0.897, 0.328], [0.663, 0.622, 0.533], [0.006, 0.501, 0.999], [0.335, 0.661, 0.922], [0.837, 0.157, 0.571], [0.302, 0.104, 0.672]],
  "ef_ev_per_fu": -53.48,
  "energy_corrected_mp2020_ev_per_atom": -7.35,
  "space_group": "P1 (1)",
  "crystal_system": "triclinic",
  "energy_ev_per_fu": -168.79
}

=====

{
  "formula": "MgV2PbO2F8",
  "functional": "GGA+U",
  "state": "optimized geometry",
  "lattice": [[-2.617, -4.284, 1.201], [3.784, -1.028, 4.299], [-4.038, 5.488, 2.424]],
  "species": ["F", "Mg", "F", "Pb", "V", "O", "V", "F", "O", "F", "F", "F", "F", "F"],
  "fractional_positions": [[0.688, 0.579, 0.949], [0.735, 0.129, 0.422], [0.943, 0.874, 0.281], [0.995, 0.947, 0.949], [0.378, 0.360, 0.762], [0.628, 0.763, 0.476], [0.630, 0.641, 0.245], [0.164, 0.628, 0.752], [0.471, 0.306, 0.554], [0.025, 0.173, 0.675], [0.311, 0.436, 0.073], [0.445, 0.928, 0.174], [0.819, 0.360, 0.285], [0.531, 0.102, 0.861]],
  "ef_ev_per_fu": -41.48,
  "energy_corrected_mp2020_ev_per_atom": -6.44,
  "space_group": "P1 (1)",
  "relative_energy_ev_per_atom": 0.011,
  "crystal_system": "triclinic",
  "energy_ev_per_fu": -81.71
}

=====

{
  "formula": "PbWO4",
  "functional": "GGA+U",
  "state": "optimized geometry",
  "lattice": [[5.849, 1.273, 4.146], [0.297, -3.955, 6.107], [-1.100, -1.475, -7.045]],
  "species": ["O", "O", "O", "Pb", "O", "Pb", "O", "W", "O", "O", "W", "O"],
  "fractional_positions": [[0.597, 0.472, 0.405], [0.153, 0.778, 0.095], [0.067, 0.192, 0.595], [0.250, 0.750, 0.500], [0.683, 0.058, 0.905], [0.500, 0.500, 0.000], [0.808, 0.403, 0.875], [0.750, 0.250, 0.500], [0.222, 0.317, 0.375], [0.528, 0.933, 0.125], [0.000, 0.000, 0.000], [0.942, 0.847, 0.625]],
  "ef_ev_per_fu": -12.02,
  "energy_corrected_mp2020_ev_per_atom": -8.08,
  "space_group": "I4_1/a (88)",
  "relative_energy_ev_per_atom": 0.051,
  "crystal_system": "tetragonal",
  "energy_ev_per_fu": -41.30
}

=====

{
  "formula": "Ni3P4O14",
  "functional": "GGA+U",
  "state": "optimized geometry",
  "lattice": [[-0.507, 1.305, 5.096], [-6.227, -0.240, 1.371], [-0.373, -14.673, 6.456]],
  "species": ["O", "O", "O", "P", "P", "P", "O", "O", "O", "O", "O", "O", "O", "P", "O", "P", "O", "O", "O", "O", "Ni", "Ni", "P", "O", "P", "O", "P", "Ni", "O", "O", "O", "Ni", "Ni", "O", "O", "O", "Ni", "O", "O", "O", "O", "O"],
  "fractional_positions": [[0.361, 0.148, 0.707], [0.383, 0.549, 0.731], [0.829, 0.406, 0.446], [0.823, 0.888, 0.209], [0.639, 0.575, 0.678], [0.441, 0.765, 0.922], [0.572, 0.703, 0.587], [0.121, 0.984, 0.586], [0.829, 0.348, 0.658], [0.014, 0.325, 0.825], [0.002, 0.032, 0.221], [0.258, 0.326, 0.091], [0.781, 0.717, 0.712], [0.559, 0.235, 0.078], [0.986, 0.675, 0.175], [0.361, 0.425, 0.322], [0.998, 0.968, 0.779], [0.386, 0.982, 0.853], [0.408, 0.844, 0.451], [0.328, 0.835, 0.010], [0.957, 0.365, 0.186], [0.770, 0.040, 0.668], [0.301, 0.780, 0.543], [0.879, 0.016, 0.414], [0.699, 0.220, 0.457], [0.428, 0.297, 0.413], [0.177, 0.112, 0.791], [0.230, 0.960, 0.332], [0.639, 0.852, 0.293], [0.707, 0.391, 0.098], [0.617, 0.451, 0.269], [0.205, 0.277, 0.595], [0.795, 0.723, 0.405], [0.293, 0.609, 0.902], [0.672, 0.165, 0.990], [0.592, 0.156, 0.549], [0.043, 0.635, 0.814], [0.742, 0.674, 0.909], [0.614, 0.018, 0.147], [0.171, 0.652, 0.342], [0.219, 0.283, 0.288], [0.171, 0.594, 0.554]],
  "ef_ev_per_fu": -44.28,
  "energy_corrected_mp2020_ev_per_atom": -7.26,
  "space_group": "P-1 (2)",
  "relative_energy_ev_per_atom": 0.018,
  "crystal_system": "triclinic",
  "energy_ev_per_fu": -135.30
}

=====

{
  "formula": "AlW3O8",
  "functional": "GGA+U",
  "state": "optimized geometry",
  "lattice": [[-5.170, 0.000, 0.000], [1.366, 5.442, 0.000], [-0.238, -1.982, -5.526]],
  "species": ["W", "O", "O", "O", "O", "O", "O", "W", "Al", "O", "W", "O"],
  "fractional_positions": [[0.693, 0.594, 0.393], [0.135, 0.853, 0.940], [0.077, 0.823, 0.361], [0.346, 0.339, 0.804], [0.772, 0.303, 0.504], [0.284, 0.397, 0.287], [0.612, 0.794, 0.169], [0.232, 0.599, 0.054], [0.623, 0.195, 0.748], [0.629, 0.871, 0.673], [0.965, 0.083, 0.210], [0.832, 0.346, 0.035]],
  "ef_ev_per_fu": -26.18,
  "energy_corrected_mp2020_ev_per_atom": -9.03,
  "space_group": "P1 (1)",
  "relative_energy_ev_per_atom": 0.120,
  "crystal_system": "triclinic",
  "energy_ev_per_fu": -89.58
}